The following is a DFT calculation (PBE) of a relaxed Dy2NiB10 crystal.

The structure in extended XYZ format:
```
26
Lattice="0.000 0.000 4.144 5.553 0.000 0.000 0.000 11.087 0.000" Properties=species:S:1:pos:R:3 pbc="T T T"
B 1.131 1.264 1.246
B 4.422 9.823 2.898
B 2.973 3.461 0.000
B 2.081 0.454 0.000
B 0.856 7.731 0.000
B 4.422 9.823 1.246
B 0.197 2.082 0.000
B 0.695 5.997 0.000
B 4.697 3.355 0.000
B 3.471 10.633 0.000
B 3.907 4.279 1.246
B 1.645 6.807 1.246
B 3.632 8.899 0.000
B 3.907 4.279 2.898
B 2.580 7.625 0.000
B 4.858 5.089 0.000
B 1.921 2.188 0.000
B 1.645 6.807 2.898
B 1.131 1.264 2.898
B 5.356 9.005 0.000
Dy 1.071 4.031 2.072
Dy 4.481 7.056 2.072
Dy 3.848 1.512 2.072
Dy 1.705 9.574 2.072
Ni 2.776 5.543 0.000
Ni 0.000 0.000 0.000
```

Results
E_tot in eV per atom: -6.80
Space-group type: Pbam (55)


The following is a DFT calculation (PBE) of a relaxed PH18PtC6S3ClF6 crystal.

The structure in extended XYZ format:
```
144
Lattice="-23.803 -3.301 -7.293 2.651 -5.716 -6.067 -0.204 -7.765 4.180" Properties=species:S:1:pos:R:3 pbc="T T T"
F -7.773 -7.944 0.739
F -18.829 -12.331 -6.493
F -7.025 -13.811 -3.992
F -14.331 -2.971 -5.187
F -12.518 -14.658 -5.749
F -1.117 -4.096 -4.504
F -18.546 -6.484 -7.999
F -8.837 -2.125 -3.430
F -3.338 -4.683 -4.854
F -16.647 -10.757 -1.978
F -19.364 -6.711 -10.169
F -6.728 -2.111 -2.453
F -4.010 -2.886 -3.548
F -5.975 -7.971 -7.182
F -20.239 -12.686 -4.675
F -1.991 -10.071 0.990
F -17.345 -13.896 -5.631
F -18.017 -12.099 -4.325
F -4.708 -6.025 -7.201
F -2.810 -10.298 -1.180
F -2.527 -4.451 -2.686
F -13.582 -8.838 -9.918
F -14.627 -14.671 -6.726
F -15.381 -8.811 -1.997
H -13.888 -11.572 -7.543
H -10.984 -6.027 -7.795
H -18.128 -7.623 -5.797
H -10.839 -11.035 -3.109
H -5.006 -6.081 1.188
H -6.039 -4.968 -4.414
H -6.657 -9.938 -1.106
H -7.467 -5.210 -1.636
H -8.797 -8.257 -8.391
H -19.169 -4.422 -6.003
H -0.801 -6.924 -5.503
H -10.495 -8.452 -9.000
H -11.662 -6.998 -1.093
H -13.271 -6.582 -3.697
H -20.129 -10.575 -9.237
H -3.639 -8.055 -4.765
H -9.694 -9.784 -8.086
H -21.281 -15.525 -9.748
H -14.796 -7.420 -4.143
H 0.459 -3.931 -2.115
H -14.698 -6.845 -8.073
H -10.516 -5.748 -6.070
H -16.901 -9.027 -10.706
H -15.658 -11.484 -7.223
H -2.096 -7.463 -6.645
H -2.895 -5.812 -0.474
H -22.417 -8.506 -8.544
H -12.105 -10.714 -1.879
H -3.068 -2.341 -0.795
H -4.454 -7.755 1.527
H -7.110 -5.944 -5.472
H -21.029 -14.993 -8.052
H -7.834 -4.857 -4.218
H -20.554 -9.858 -3.676
H 1.130 -12.202 -1.300
H -18.460 -10.970 -8.705
H -18.888 -9.274 -9.147
H -2.427 -7.553 -3.532
H -10.861 -8.330 -0.179
H -14.634 -5.642 -4.404
H -18.928 -9.229 -5.647
H -10.372 -10.755 -1.384
H -16.349 -10.701 -10.367
H -18.287 -14.441 -8.384
H -0.074 -1.258 0.569
H -5.935 -11.002 -2.366
H -14.844 -10.210 -8.230
H -6.559 -9.362 -5.036
H -15.630 -7.559 -6.707
H -5.726 -9.223 -2.472
H -3.228 -9.159 -3.382
H -6.511 -6.572 -0.949
H -21.815 -12.851 -7.064
H -8.084 -10.200 -5.482
H -0.326 -1.789 -1.127
H -15.420 -5.780 -6.813
H 0.252 -9.831 -0.213
H -15.316 -11.814 -4.765
H -2.467 -7.508 -0.032
H -14.245 -10.838 -3.707
H -22.485 -4.580 -7.879
H -17.716 -8.727 -4.414
H -5.697 -5.298 -1.956
H -9.250 -6.068 -7.300
H -13.521 -11.925 -4.961
H -6.722 -11.140 -4.775
H -21.607 -6.951 -8.966
H -2.186 -12.360 -3.176
H -12.558 -8.525 -0.788
H -1.226 -6.207 0.058
H 1.062 -8.276 -0.635
H -19.259 -9.319 -2.534
Cl -10.022 -5.834 -2.971
Cl -11.333 -10.948 -6.208
Cl -21.854 -9.365 -5.992
Cl 0.499 -7.417 -3.187
Pt -8.915 -7.897 -2.981
Pt -21.492 -7.098 -5.531
Pt -12.440 -8.885 -6.198
Pt 0.137 -9.684 -3.648
C 2.067 -11.717 -1.601
C -11.569 -8.082 -0.974
C -6.993 -5.510 -4.476
C -4.434 -6.714 1.877
C -23.422 -5.065 -7.578
C -14.362 -11.272 -4.703
C 1.192 -9.355 -0.504
C -16.922 -10.069 -11.056
C -6.403 -10.029 -2.166
C -18.503 -8.381 -5.101
C -20.189 -9.038 -3.048
C -2.290 -6.445 0.183
C -9.787 -8.700 -8.205
C -2.852 -8.401 -4.078
C -19.065 -10.337 -9.362
C -1.167 -7.744 -6.131
C -14.739 -10.901 -7.387
C -14.110 -6.608 -4.404
C -7.246 -10.174 -4.775
C -22.547 -7.428 -8.675
C -10.282 -6.285 -6.992
C -14.952 -6.753 -7.013
C -11.073 -10.497 -2.187
C -6.616 -5.881 -1.792
S -18.654 -10.574 -11.108
S -19.771 -7.613 -4.067
S -13.417 -6.805 -6.064
S -23.178 -6.786 -7.108
S -14.489 -9.923 -5.889
S -7.938 -9.977 -3.115
S 1.823 -9.996 -2.071
S -11.049 -8.739 -2.575
S -10.306 -8.043 -6.604
S -6.866 -6.860 -3.290
S -1.585 -9.169 -5.112
S -2.701 -6.209 1.929
P -5.434 -6.939 -8.343
P -15.921 -9.843 -0.836
P -2.576 -3.500 -4.027
P -18.780 -13.282 -5.152
```

Results
E_tot in eV per atom: -4.97
Space-group type: P2_1/c (14)


The following is a DFT calculation (PBE) of a relaxed Sm2Br2O crystal.

The structure in extended XYZ format:
```
5
Lattice="-3.006 -1.738 2.504 -0.575 -3.131 -2.863 9.364 -7.341 6.146" Properties=species:S:1:pos:R:3 pbc="T T T"
Br 4.225 -7.150 3.769
Br 1.558 -5.059 2.018
Sm 6.099 -8.619 4.998
Sm -0.316 -3.590 0.789
O -1.791 -2.434 -0.179
```

Results
E_tot in eV per atom: -4.65
Space-group type: P4/mmm (123)